1.
## ZrO2 (meta-GGA r2SCAN)

Data for crystalline ZrO2 at its relaxed geometry.

Cell: 5.827 4.984 5.387 Å, 90.00 90.00 90.00°
Element x y z (fractional)
Zr  0.144  0.417  0.457
Zr  0.356  0.917  0.957
Zr  0.644  0.083  0.457
Zr  0.856  0.583  0.957
O  0.382  0.223  0.220
O  0.117  0.723  0.194
O  0.383  0.223  0.694
O  0.118  0.723  0.720
O  0.882  0.277  0.220
O  0.617  0.777  0.194
O  0.883  0.277  0.694
O  0.618  0.777  0.720

Calculated values
**Space-group type**: Pnma (62)
**Energy**: -45.69 eV per formula unit
**ΔH_f (0 K)**: -353.71 kJ/mol of atoms
**Crystal system**: orthorhombic



2.
## ZrO2 (meta-GGA r2SCAN)

Data for crystalline ZrO2 at its relaxed geometry.

Cell: 9.982 5.784 5.554 Å, 90.00 90.00 90.00°
Element x y z (fractional)
Zr  0.130  0.093  0.851
Zr  0.130  0.407  0.351
Zr  0.370  0.593  0.851
Zr  0.370  0.907  0.351
Zr  0.630  0.093  0.649
Zr  0.630  0.407  0.149
Zr  0.870  0.593  0.649
Zr  0.870  0.907  0.149
O  0.015  0.154  0.171
O  0.015  0.346  0.671
O  0.232  0.124  0.524
O  0.232  0.376  0.024
O  0.268  0.624  0.524
O  0.268  0.876  0.024
O  0.485  0.846  0.671
O  0.485  0.654  0.171
O  0.515  0.154  0.329
O  0.515  0.346  0.829
O  0.732  0.124  0.976
O  0.732  0.376  0.476
O  0.768  0.624  0.976
O  0.768  0.876  0.476
O  0.985  0.654  0.329
O  0.985  0.846  0.829

Calculated values
**Space-group type**: Pbca (61)
**Energy**: -45.85 eV per formula unit
**ΔH_f (0 K)**: -358.79 kJ/mol of atoms
**Crystal system**: orthorhombic